1.
Computed, not measured: a relaxed Li7V3P8O29 crystal at the GGA+U level of DFT.

Cell lengths 9.835, 9.860, 13.870 Å; angles 89.79, 89.90, 60.11 degrees
Space group P1 (No. 1)
Symmetry-distinct sites (fractional):
1 Li 0.000 0.000 0.000 [1 per cell]
2 Li 0.004 0.440 0.495 [1 per cell]
3 Li 0.133 0.450 0.003 [1 per cell]
4 Li 0.141 0.867 0.496 [1 per cell]
5 Li 0.227 0.675 0.123 [1 per cell]
6 Li 0.232 0.108 0.678 [1 per cell]
7 Li 0.245 0.535 0.619 [1 per cell]
8 Li 0.574 0.003 0.494 [1 per cell]
9 Li 0.582 0.864 0.002 [1 per cell]
10 Li 0.672 0.666 0.621 [1 per cell]
11 Li 0.678 0.093 0.123 [1 per cell]
12 Li 0.805 0.107 0.621 [1 per cell]
13 Li 0.814 0.542 0.121 [1 per cell]
14 Li 0.910 0.765 0.556 [1 per cell]
15 V 0.341 0.769 0.310 [1 per cell]
16 V 0.343 0.336 0.810 [1 per cell]
17 V 0.472 0.204 0.310 [1 per cell]
18 V 0.476 0.767 0.813 [1 per cell]
19 V 0.905 0.204 0.811 [1 per cell]
20 V 0.905 0.334 0.310 [1 per cell]
21 P 0.134 0.859 0.716 [1 per cell]
22 P 0.136 0.451 0.218 [1 per cell]
23 P 0.221 0.544 0.402 [1 per cell]
24 P 0.224 0.683 0.902 [1 per cell]
25 P 0.237 0.102 0.435 [1 per cell]
26 P 0.243 0.101 0.933 [1 per cell]
27 P 0.572 0.437 0.686 [1 per cell]
28 P 0.575 0.437 0.187 [1 per cell]
29 P 0.588 0.857 0.218 [1 per cell]
30 P 0.590 0.996 0.719 [1 per cell]
31 P 0.674 0.087 0.905 [1 per cell]
32 P 0.680 0.681 0.404 [1 per cell]
33 P 0.819 0.538 0.903 [1 per cell]
34 P 0.821 0.083 0.404 [1 per cell]
35 P 0.996 0.001 0.219 [1 per cell]
36 P 0.997 0.456 0.716 [1 per cell]
37 O 0.010 0.147 0.236 [1 per cell]
38 O 0.016 0.292 0.725 [1 per cell]
39 O 0.090 0.257 0.395 [1 per cell]
40 O 0.098 0.095 0.894 [1 per cell]
41 O 0.113 0.564 0.310 [1 per cell]
42 O 0.117 0.771 0.810 [1 per cell]
43 O 0.124 0.556 0.492 [1 per cell]
44 O 0.138 0.766 0.628 [1 per cell]
45 O 0.145 0.533 0.128 [1 per cell]
46 O 0.150 0.773 0.993 [1 per cell]
47 O 0.160 0.442 0.717 [1 per cell]
48 O 0.160 0.852 0.218 [1 per cell]
49 O 0.226 0.958 0.397 [1 per cell]
50 O 0.227 0.108 0.545 [1 per cell]
51 O 0.239 0.254 0.888 [1 per cell]
52 O 0.240 0.692 0.399 [1 per cell]
53 O 0.241 0.520 0.903 [1 per cell]
54 O 0.250 0.103 0.041 [1 per cell]
55 O 0.279 0.292 0.235 [1 per cell]
56 O 0.282 0.874 0.729 [1 per cell]
57 O 0.376 0.395 0.395 [1 per cell]
58 O 0.384 0.673 0.882 [1 per cell]
59 O 0.391 0.092 0.401 [1 per cell]
60 O 0.398 0.955 0.891 [1 per cell]
61 O 0.418 0.441 0.729 [1 per cell]
62 O 0.421 0.583 0.229 [1 per cell]
63 O 0.426 0.144 0.729 [1 per cell]
64 O 0.428 0.867 0.239 [1 per cell]
65 O 0.527 0.247 0.886 [1 per cell]
66 O 0.527 0.678 0.392 [1 per cell]
67 O 0.559 0.447 0.578 [1 per cell]
68 O 0.569 0.850 0.718 [1 per cell]
69 O 0.574 0.018 0.216 [1 per cell]
70 O 0.579 0.449 0.080 [1 per cell]
71 O 0.580 0.581 0.728 [1 per cell]
72 O 0.583 0.283 0.223 [1 per cell]
73 O 0.655 0.690 0.901 [1 per cell]
74 O 0.657 0.010 0.994 [1 per cell]
75 O 0.657 0.100 0.404 [1 per cell]
76 O 0.661 0.763 0.129 [1 per cell]
77 O 0.678 0.996 0.629 [1 per cell]
78 O 0.683 0.770 0.493 [1 per cell]
79 O 0.694 0.978 0.811 [1 per cell]
80 O 0.699 0.769 0.310 [1 per cell]
81 O 0.715 0.283 0.722 [1 per cell]
82 O 0.723 0.441 0.233 [1 per cell]
83 O 0.803 0.394 0.888 [1 per cell]
84 O 0.817 0.239 0.393 [1 per cell]
85 O 0.823 0.099 0.905 [1 per cell]
86 O 0.825 0.517 0.404 [1 per cell]
87 O 0.906 0.013 0.129 [1 per cell]
88 O 0.906 0.548 0.628 [1 per cell]
89 O 0.907 0.559 0.810 [1 per cell]
90 O 0.908 0.533 0.992 [1 per cell]
91 O 0.908 0.976 0.311 [1 per cell]
92 O 0.910 0.992 0.494 [1 per cell]
93 O 0.985 0.440 0.219 [1 per cell]
94 O 0.987 0.021 0.714 [1 per cell]

Computed properties:
- MP2020-corrected energy: -7.523 eV/atom
- Energy above the most stable polymorph in this dataset: 9 meV per atom

2.
Computed, not measured: a relaxed LiVP2O7 crystal at the GGA+U level of DFT.

Cell lengths 6.544, 7.597, 10.795 Å; angles 85.94, 72.92, 80.71 degrees
Space group P-1 (No. 2)
Symmetry-distinct sites (fractional):
1 Li 0.086 0.085 0.086 [2 per cell]
2 Li 0.414 0.414 0.414 [2 per cell]
3 V 0.094 0.094 0.594 [2 per cell]
4 V 0.406 0.406 0.906 [2 per cell]
5 P 0.058 0.615 0.163 [2 per cell]
6 P 0.071 0.679 0.625 [2 per cell]
7 P 0.429 0.822 0.875 [2 per cell]
8 P 0.442 0.885 0.337 [2 per cell]
9 O 0.039 0.780 0.240 [2 per cell]
10 O 0.050 0.442 0.255 [2 per cell]
11 O 0.064 0.856 0.691 [2 per cell]
12 O 0.087 0.295 0.460 [2 per cell]
13 O 0.110 0.370 0.910 [2 per cell]
14 O 0.206 0.917 0.939 [2 per cell]
15 O 0.210 0.927 0.432 [2 per cell]
16 O 0.290 0.573 0.068 [2 per cell]
17 O 0.294 0.583 0.561 [2 per cell]
18 O 0.390 0.131 0.590 [2 per cell]
19 O 0.413 0.204 0.040 [2 per cell]
20 O 0.436 0.644 0.809 [2 per cell]
21 O 0.451 0.058 0.245 [2 per cell]
22 O 0.460 0.720 0.261 [2 per cell]

Computed properties:
- MP2020-corrected energy: -7.822 eV/atom

3.
Computed, not measured: a relaxed LiVP2O7 crystal at the GGA+U level of DFT.

Cell lengths 9.587, 8.198, 13.794 Å; angles 90.00, 106.63, 90.00 degrees
Space group C2/c (No. 15)
Symmetry-distinct sites (fractional):
1 Li 0.212 0.002 0.335 [8 per cell]
2 V 0.221 0.370 0.857 [8 per cell]
3 P 0.041 0.303 0.415 [8 per cell]
4 P 0.073 0.204 0.637 [8 per cell]
5 O 0.091 0.183 0.878 [8 per cell]
6 O 0.101 0.185 0.355 [8 per cell]
7 O 0.101 0.481 0.414 [8 per cell]
8 O 0.102 0.250 0.534 [8 per cell]
9 O 0.129 0.302 0.108 [8 per cell]
10 O 0.140 0.346 0.711 [8 per cell]
11 O 0.155 0.047 0.677 [8 per cell]

Computed properties:
- MP2020-corrected energy: -7.775 eV/atom

4.
Computed, not measured: a relaxed Li9V3P8O29 crystal at the GGA+U level of DFT.

Cell lengths 9.8820, 9.8820, 13.8128 Å; angles 90.00, 90.00, 120.00 degrees
Space group P-3c1 (No. 165)
Symmetry-distinct sites (fractional):
1 Li 0.0000 0.0000 0.0000 [2 per cell]
2 Li 0.1001 0.3354 0.4367 [12 per cell]
3 Li 0.3333 0.6667 0.1188 [4 per cell]
4 V 0.0000 0.4333 0.2500 [6 per cell]
5 P 0.0887 0.3158 0.6554 [12 per cell]
6 P 0.3333 0.6667 0.3749 [4 per cell]
7 O 0.0000 0.2137 0.7500 [6 per cell]
8 O 0.0050 0.2306 0.9330 [12 per cell]
9 O 0.0786 0.3286 0.1547 [12 per cell]
10 O 0.1076 0.4795 0.6659 [12 per cell]
11 O 0.1896 0.5133 0.3364 [12 per cell]
12 O 0.3333 0.6667 0.4844 [4 per cell]

Computed properties:
- MP2020-corrected energy: -7.449 eV/atom
- Energy above the most stable polymorph in this dataset: 0 meV per atom